1.
This record from Materials Project describes a relaxed Rb2HgAsF6 crystal. The functional is GGA-PBE.

```
10
Lattice="0.000 4.711 4.711 4.711 0.000 4.711 4.711 4.711 0.000" Properties=species:S:1:pos:R:3 pbc="T T T"
Rb 2.356 2.356 2.356
Rb 7.067 7.067 7.067
Hg 0.000 0.000 0.000
As 4.711 4.711 4.711
F 4.711 4.711 2.719
F 4.711 2.719 4.711
F 6.704 4.711 4.711
F 2.719 4.711 4.711
F 4.711 6.704 4.711
F 4.711 4.711 6.704
```

Output
V = 209.1 Å³/cell
Crystal system = cubic
E (MP2020) = -4.22 eV/atom
Calculated formation energy = -2.383 eV per atom

2.
This record from Materials Project describes a relaxed HgPtO2 crystal. The functional is GGA-PBE.

```
12
Lattice="3.202 0.000 0.000 -1.601 2.773 0.000 0.000 0.000 23.231" Properties=species:S:1:pos:R:3 pbc="T T T"
Hg 0.000 0.000 0.000
Hg 0.000 1.848 15.487
Hg 1.601 0.924 7.744
Pt 0.000 0.000 11.616
Pt 0.000 1.848 3.872
Pt 1.601 0.924 19.359
O 0.000 0.000 2.922
O 0.000 0.000 20.309
O 0.000 1.848 12.565
O 0.000 1.848 18.410
O 1.601 0.924 4.821
O 1.601 0.924 10.666
```

Output
V = 206.2 Å³/cell
Crystal system = trigonal
E (MP2020) = -4.75 eV/atom
Calculated formation energy = -0.681 eV per atom

3.
This record from Materials Project describes a relaxed SrTcN3 crystal. The functional is GGA-PBE.

```
10
Lattice="2.109 -6.355 0.000 2.109 6.355 0.000 0.000 0.000 5.720" Properties=species:S:1:pos:R:3 pbc="T T T"
Sr 2.109 4.687 4.290
Sr 2.109 -4.687 1.430
Tc 2.109 1.204 4.290
Tc 2.109 -1.204 1.430
N 1.474 3.865 1.405
N 2.744 3.865 1.455
N 1.923 0.000 2.860
N 2.295 0.000 0.000
N 1.474 -3.865 4.315
N 2.744 -3.865 4.265
```

Output
V = 153.3 Å³/cell
Crystal system = orthorhombic
E (MP2020) = -7.96 eV/atom
Calculated formation energy = -0.552 eV per atom

4.
This record from Materials Project describes a relaxed K3Y crystal. The functional is GGA-PBE.

```
8
Lattice="5.911 0.000 0.000 0.000 5.911 0.000 0.000 0.000 12.923" Properties=species:S:1:pos:R:3 pbc="T T T"
K 0.000 0.000 0.000
K 0.000 2.956 3.231
K 0.000 2.956 9.693
K 2.956 0.000 3.231
K 2.956 0.000 9.693
K 2.956 2.956 6.462
Y 0.000 0.000 6.462
Y 2.956 2.956 0.000
```

Output
V = 451.6 Å³/cell
Crystal system = tetragonal
Calculated formation energy = 0.572 eV per atom

5.
This record from Materials Project describes a relaxed Tm3InS6 crystal. The functional is GGA-PBE.

```
40
Lattice="13.259 0.000 0.000 0.000 16.500 0.000 0.000 0.000 3.823" Properties=species:S:1:pos:R:3 pbc="T T T"
Tm 0.475 3.697 0.942
Tm 2.527 10.623 0.947
Tm 3.267 6.414 0.899
Tm 3.363 14.664 2.923
Tm 4.103 2.373 2.876
Tm 6.154 11.947 2.881
Tm 7.105 4.553 2.881
Tm 9.156 14.126 2.876
Tm 9.896 1.836 2.923
Tm 9.992 10.086 0.899
Tm 10.733 5.877 0.947
Tm 12.784 12.803 0.942
In 0.000 0.000 3.405
In 0.000 8.250 2.855
In 6.630 0.000 0.967
In 6.630 8.250 0.417
S 0.277 6.490 0.941
S 1.373 14.936 1.031
S 1.432 1.932 2.865
S 1.536 12.269 2.864
S 2.376 4.672 2.829
S 2.579 8.581 2.854
S 4.051 0.331 0.969
S 4.253 12.922 0.994
S 5.094 4.019 0.958
S 5.198 10.182 0.958
S 5.256 6.686 2.792
S 6.352 14.740 2.882
S 6.907 1.759 2.882
S 8.003 9.813 2.792
S 8.061 6.318 0.958
S 8.165 12.481 0.958
S 9.006 3.578 0.994
S 9.208 16.168 0.969
S 10.680 7.919 2.854
S 10.883 11.828 2.829
S 11.724 4.231 2.864
S 11.827 14.568 2.865
S 11.886 1.563 1.031
S 12.982 10.009 0.941
```

Output
V = 836.3 Å³/cell
Crystal system = orthorhombic
E (MP2020) = -6.05 eV/atom
Calculated formation energy = -1.950 eV per atom

6.
This record from Materials Project describes a relaxed Mg crystal. The functional is GGA-PBE.

```
1
Lattice="3.055 0.000 0.000 -1.528 2.646 0.000 0.000 0.000 3.160" Properties=species:S:1:pos:R:3 pbc="T T T"
Mg 0.000 0.000 0.000
```

Output
V = 25.5 Å³/cell
Crystal system = hexagonal
Calculated formation energy = 0.237 eV per atom
ΔE to the lowest computed polymorph = 0.237 eV/atom

7.
This record from Materials Project describes a relaxed PuAlNi crystal. The functional is GGA-PBE.

```
9
Lattice="6.466 0.000 0.000 -3.233 5.600 0.000 0.000 0.000 4.095" Properties=species:S:1:pos:R:3 pbc="T T T"
Pu -1.382 2.394 0.000
Pu 2.764 0.000 0.000
Pu 1.851 3.206 0.000
Al -2.457 4.256 2.048
Al 0.776 1.344 2.048
Al 4.915 0.000 2.048
Ni 0.000 0.000 0.000
Ni 0.000 3.733 2.048
Ni 3.233 1.867 2.048
```

Output
V = 148.3 Å³/cell
Crystal system = hexagonal
Calculated formation energy = 0.143 eV per atom

8.
This record from Materials Project describes a relaxed HfMg6SiO8 crystal. The functional is GGA-PBE.

```
16
Lattice="4.212 0.000 0.000 0.000 4.212 0.000 0.000 0.000 10.367" Properties=species:S:1:pos:R:3 pbc="T T T"
Hf 0.000 0.000 0.000
Mg 0.000 2.106 2.950
Mg 0.000 2.106 7.417
Mg 2.106 0.000 2.950
Mg 2.106 0.000 7.417
Mg 2.106 2.106 0.000
Mg 2.106 2.106 5.184
Si 0.000 0.000 5.184
O 0.000 0.000 2.061
O 0.000 0.000 8.306
O 0.000 2.106 0.000
O 0.000 2.106 5.184
O 2.106 0.000 0.000
O 2.106 0.000 5.184
O 2.106 2.106 2.935
O 2.106 2.106 7.432
```

Output
V = 183.9 Å³/cell
Crystal system = tetragonal
E (MP2020) = -6.63 eV/atom
Calculated formation energy = -2.590 eV per atom
ΔE to the lowest computed polymorph = 0.000 eV/atom

9.
This record from Materials Project describes a relaxed KHo3F10 crystal. The functional is GGA-PBE.

```
28
Lattice="0.000 5.793 5.793 5.793 0.000 5.793 5.793 5.793 0.000" Properties=species:S:1:pos:R:3 pbc="T T T"
K 2.897 2.897 2.897
K 8.690 8.690 8.690
Ho 5.793 5.793 2.785
Ho 5.793 2.785 5.793
Ho 8.801 5.793 5.793
Ho 2.785 5.793 5.793
Ho 5.793 8.801 5.793
Ho 5.793 5.793 8.801
F 1.290 1.290 1.290
F 4.503 4.503 1.290
F 4.503 1.290 4.503
F 5.793 3.882 3.882
F 7.704 5.793 3.882
F 7.704 3.882 5.793
F 10.296 7.083 7.083
F 3.882 5.793 3.882
F 5.793 7.704 3.882
F 3.882 3.882 5.793
F 7.704 7.704 5.793
F 5.793 3.882 7.704
F 7.704 5.793 7.704
F 1.290 4.503 4.503
F 3.882 7.704 5.793
F 3.882 5.793 7.704
F 5.793 7.704 7.704
F 7.083 10.296 7.083
F 7.083 7.083 10.296
F 10.296 10.296 10.296
```

Output
V = 388.8 Å³/cell
Crystal system = cubic
E (MP2020) = -6.73 eV/atom
Calculated formation energy = -4.300 eV per atom

10.
This record from Materials Project describes a relaxed Pm3Gd crystal. The functional is GGA-PBE.

```
8
Lattice="5.141 0.000 0.000 0.000 5.141 0.000 0.000 0.000 10.339" Properties=species:S:1:pos:R:3 pbc="T T T"
Pm 0.000 0.000 0.000
Pm 0.000 2.570 2.585
Pm 0.000 2.570 7.754
Pm 2.570 0.000 2.585
Pm 2.570 0.000 7.754
Pm 2.570 2.570 5.169
Gd 0.000 0.000 5.169
Gd 2.570 2.570 0.000
```

Output
V = 273.2 Å³/cell
Crystal system = tetragonal
Calculated formation energy = 0.010 eV per atom
ΔE to the lowest computed polymorph = 0.003 eV/atom

11.
This record from Materials Project describes a relaxed Lu2Mn3Si5 crystal. The functional is GGA-PBE.

```
40
Lattice="10.479 0.000 0.000 0.000 10.479 0.000 0.000 0.000 5.329" Properties=species:S:1:pos:R:3 pbc="T T T"
Lu 0.765 2.495 0.000
Lu 2.495 9.714 0.000
Lu 2.744 4.474 2.664
Lu 4.474 7.734 2.664
Lu 6.004 2.744 2.664
Lu 7.734 6.004 2.664
Lu 7.984 0.765 0.000
Lu 9.714 7.984 0.000
Mn 0.000 5.239 1.332
Mn 0.000 5.239 3.997
Mn 1.288 8.963 2.664
Mn 1.515 1.288 2.664
Mn 3.724 6.527 0.000
Mn 3.952 3.724 0.000
Mn 5.239 0.000 1.332
Mn 5.239 0.000 3.997
Mn 6.527 6.755 0.000
Mn 6.755 3.952 0.000
Mn 8.963 9.191 2.664
Mn 9.191 1.515 2.664
Si 0.000 0.000 1.340
Si 0.000 0.000 3.989
Si 0.252 3.294 2.664
Si 1.865 7.104 1.332
Si 1.865 7.104 3.997
Si 1.946 4.987 0.000
Si 3.294 10.227 2.664
Si 3.375 1.865 1.332
Si 3.375 1.865 3.997
Si 4.987 8.533 0.000
Si 5.239 5.239 1.325
Si 5.239 5.239 4.004
Si 5.491 1.946 0.000
Si 7.104 8.614 1.332
Si 7.104 8.614 3.997
Si 7.185 0.252 2.664
Si 8.533 5.491 0.000
Si 8.614 3.375 1.332
Si 8.614 3.375 3.997
Si 10.227 7.185 2.664
```

Output
V = 585.1 Å³/cell
Crystal system = tetragonal
E (MP2020) = -6.95 eV/atom
Calculated formation energy = -0.586 eV per atom

12.
This record from Materials Project describes a relaxed Sc2IrRu crystal. The functional is GGA-PBE.

```
16
Lattice="6.442 0.000 0.000 0.000 6.442 0.000 0.000 0.000 6.442" Properties=species:S:1:pos:R:3 pbc="T T T"
Sc 1.611 1.611 1.611
Sc 1.611 1.611 4.832
Sc 1.611 4.832 1.611
Sc 1.611 4.832 4.832
Sc 4.832 1.611 1.611
Sc 4.832 1.611 4.832
Sc 4.832 4.832 1.611
Sc 4.832 4.832 4.832
Ir 0.000 0.000 0.000
Ir 0.000 3.221 3.221
Ir 3.221 0.000 3.221
Ir 3.221 3.221 0.000
Ru 0.000 0.000 3.221
Ru 0.000 3.221 0.000
Ru 3.221 0.000 0.000
Ru 3.221 3.221 3.221
```

Output
V = 267.4 Å³/cell
Crystal system = cubic
Calculated formation energy = -0.844 eV per atom

13.
This record from Materials Project describes a relaxed Na3MgPCO7 crystal. The functional is GGA-PBE.

```
26
Lattice="5.235 0.000 0.000 0.000 6.688 0.000 -0.145 0.000 8.907" Properties=species:S:1:pos:R:3 pbc="T T T"
Na 1.224 1.672 0.746
Na 1.232 3.380 6.548
Na 1.232 6.651 6.548
Na 3.858 0.037 2.360
Na 3.858 3.307 2.360
Na 3.865 5.016 8.162
Mg 1.071 5.016 3.165
Mg 4.018 1.672 5.742
P 1.445 1.672 3.720
P 3.645 5.016 5.187
C 1.392 5.016 0.576
C 3.698 1.672 8.332
O 0.207 5.016 1.116
O 0.709 1.672 5.082
O 1.068 0.422 2.871
O 1.068 2.922 2.871
O 1.394 5.016 8.199
O 2.106 5.016 4.922
O 2.429 5.016 1.367
O 2.660 1.672 7.540
O 2.984 1.672 3.985
O 3.695 1.672 0.709
O 4.022 3.766 6.036
O 4.022 6.266 6.036
O 4.380 5.016 3.825
O 4.883 1.672 7.792
```

Output
V = 311.9 Å³/cell
Crystal system = monoclinic
E (MP2020) = -6.75 eV/atom
Calculated formation energy = -2.535 eV per atom
ΔE to the lowest computed polymorph = 0.000 eV/atom

14.
This record from Materials Project describes a relaxed InGaSe2 crystal. The functional is GGA-PBE.

```
16
Lattice="8.244 0.000 0.000 0.000 8.244 0.000 0.000 0.000 6.313" Properties=species:S:1:pos:R:3 pbc="T T T"
In 0.000 0.000 0.000
In 0.000 0.000 3.156
In 4.122 4.122 0.000
In 4.122 4.122 3.156
Ga 0.000 4.122 2.202
Ga 0.000 4.122 5.358
Ga 4.122 0.000 2.202
Ga 4.122 0.000 5.358
Se 1.330 2.792 0.618
Se 1.330 5.452 3.775
Se 2.792 1.330 3.775
Se 2.792 6.914 0.618
Se 5.452 1.330 0.618
Se 5.452 6.914 3.775
Se 6.914 2.792 3.775
Se 6.914 5.452 0.618
```

Output
V = 429.0 Å³/cell
Crystal system = tetragonal
E (MP2020) = -3.94 eV/atom
Calculated formation energy = -0.743 eV per atom

15.
This record from Materials Project describes a relaxed Er2NiAs2 crystal. The functional is GGA-PBE.

```
10
Lattice="4.063 0.000 0.000 -2.032 3.519 0.000 0.000 0.000 14.168" Properties=species:S:1:pos:R:3 pbc="T T T"
Er 0.000 2.346 1.662
Er 0.000 2.346 5.422
Er 2.032 1.173 8.747
Er 2.032 1.173 12.506
Ni 0.000 0.000 3.542
Ni 0.000 0.000 10.626
As 0.000 0.000 0.000
As 0.000 0.000 7.084
As 0.000 2.346 10.626
As 2.032 1.173 3.542
```

Output
V = 202.6 Å³/cell
Crystal system = hexagonal
Calculated formation energy = -1.228 eV per atom
ΔE to the lowest computed polymorph = 0.000 eV/atom

16.
This record from Materials Project describes a relaxed Tm5In4Pt2 crystal. The functional is GGA-PBE.

```
22
Lattice="8.111 0.000 0.000 0.000 18.115 0.000 0.000 0.000 3.567" Properties=species:S:1:pos:R:3 pbc="T T T"
Tm 0.000 0.000 0.000
Tm 0.950 7.510 0.000
Tm 1.974 3.990 0.000
Tm 2.082 13.048 0.000
Tm 3.105 16.567 0.000
Tm 4.056 9.057 0.000
Tm 5.006 1.548 0.000
Tm 6.030 5.067 0.000
Tm 6.138 14.124 0.000
Tm 7.161 10.605 0.000
In 0.616 15.419 1.784
In 1.688 10.257 1.784
In 2.368 1.199 1.784
In 3.439 6.362 1.784
In 4.672 11.753 1.784
In 5.744 16.915 1.784
In 6.424 7.858 1.784
In 7.495 2.696 1.784
Pt 0.205 5.495 1.784
Pt 3.851 14.552 1.784
Pt 4.260 3.562 1.784
Pt 7.907 12.620 1.784
```

Output
V = 524.2 Å³/cell
Crystal system = orthorhombic
Calculated formation energy = -0.816 eV per atom

17.
This record from Materials Project describes a relaxed GdBRh3 crystal. The functional is GGA-PBE.

```
5
Lattice="4.225 0.000 0.000 0.000 4.225 0.000 0.000 0.000 4.225" Properties=species:S:1:pos:R:3 pbc="T T T"
Gd 0.000 0.000 0.000
B 2.112 2.112 2.112
Rh 0.000 2.112 2.112
Rh 2.112 0.000 2.112
Rh 2.112 2.112 0.000
```

Output
V = 75.4 Å³/cell
Crystal system = cubic
Calculated formation energy = -0.756 eV per atom

18.
This record from Materials Project describes a relaxed SmTe3 crystal. The functional is GGA-PBE.

```
16
Lattice="4.372 0.000 0.000 0.000 27.274 0.000 0.000 0.000 4.373" Properties=species:S:1:pos:R:3 pbc="T T T"
Sm 0.000 4.702 1.093
Sm 0.000 22.572 3.279
Sm 2.186 8.935 3.279
Sm 2.186 18.339 1.093
Te 0.000 2.156 3.279
Te 0.000 7.978 1.093
Te 0.000 11.482 3.279
Te 0.000 15.792 1.093
Te 0.000 19.295 3.279
Te 0.000 25.118 1.093
Te 2.186 2.155 1.093
Te 2.186 5.659 3.279
Te 2.186 11.481 1.093
Te 2.186 15.793 3.279
Te 2.186 21.615 1.093
Te 2.186 25.118 3.279
```

Output
V = 521.4 Å³/cell
Crystal system = orthorhombic
E (MP2020) = -4.83 eV/atom
Calculated formation energy = -1.298 eV per atom

19.
This record from Materials Project describes a relaxed Er3Al3CoGe2 crystal. The functional is GGA-PBE.

```
9
Lattice="6.893 0.000 0.000 -3.447 5.970 0.000 0.000 0.000 4.151" Properties=species:S:1:pos:R:3 pbc="T T T"
Er -2.056 3.561 0.000
Er 1.391 2.409 0.000
Er 4.112 0.000 0.000
Al -0.783 1.356 2.076
Al 1.565 0.000 2.076
Al 2.664 4.614 2.076
Co 0.000 0.000 0.000
Ge 0.000 3.980 2.076
Ge 3.447 1.990 2.076
```

Output
V = 170.8 Å³/cell
Crystal system = hexagonal
Calculated formation energy = -0.738 eV per atom